VASP calculation (PBE) on a relaxed Y8Cu3Sn3S21 crystal.

The structure in POSCAR format:
```
Y8Cu3Sn3S21
1.0
-10.8798 13.5007 -7.8837
-6.7576 -6.5978 -1.9729
-6.9403 -1.7660 6.5537
Sn Y S Cu
6 16 42 6
Direct
0.6010 0.3293 0.3347
0.7662 0.6751 0.6741
0.1010 0.6707 0.6653
0.4402 0.6659 0.6646
0.9402 0.3341 0.3354
0.2662 0.3249 0.3259
0.7892 0.6353 0.1475
0.4580 0.6400 0.1424
0.1228 0.2164 0.6262
0.1229 0.6266 0.1505
0.7940 0.1502 0.2118
0.6228 0.7836 0.3738
0.4565 0.2117 0.6351
0.2892 0.3647 0.8525
0.2940 0.8498 0.7882
0.9578 0.8459 0.7881
0.2882 0.7908 0.3635
0.4578 0.1541 0.2119
0.6229 0.3734 0.8495
0.9565 0.7883 0.3649
0.9580 0.3600 0.8576
0.7882 0.2092 0.6365
0.1539 0.2629 0.8739
0.5405 0.0815 0.4760
0.2175 0.4601 0.0640
0.7134 0.9263 0.4999
0.0651 0.3254 0.3277
0.1544 0.8926 0.8593
0.7175 0.5399 0.9360
0.0405 0.5164 0.5672
0.8785 0.4336 0.0854
0.3736 0.5188 0.5660
0.7283 0.3321 0.3335
0.6509 0.1574 0.7388
0.9721 0.1050 0.1501
0.2134 0.0737 0.5001
0.3765 0.9159 0.5195
0.6544 0.1074 0.1407
0.8765 0.0841 0.4805
0.8183 0.8473 0.2610
0.0437 0.5650 0.9198
0.0405 0.9185 0.5240
0.3205 0.1122 0.1450
0.9856 0.1462 0.7399
0.3183 0.1527 0.7390
0.1509 0.8426 0.2612
0.4856 0.8538 0.2601
0.4721 0.8950 0.8499
0.8201 0.2606 0.8810
0.5651 0.6746 0.6723
0.9858 0.7358 0.1160
0.8946 0.6635 0.6686
0.8205 0.8878 0.8550
0.5437 0.4350 0.0802
0.2090 0.4836 0.4288
0.3785 0.5664 0.9146
0.5405 0.4836 0.4328
0.2283 0.6679 0.6665
0.3946 0.3365 0.3314
0.7090 0.5164 0.5712
0.4858 0.2642 0.8840
0.3201 0.7394 0.1190
0.6539 0.7371 0.1261
0.8736 0.4812 0.4340
0.3385 0.9989 0.9948
0.6618 0.9939 0.9882
0.8385 0.0011 0.0052
0.4958 0.0009 0.9996
0.1618 0.0061 0.0118
0.9958 0.9991 0.0004
```

Results
Magnetization (μB per atom): 0.00
Energy of formation (eV per atom): -1.529
Raw total energy (eV per atom): -5.883


VASP calculation (PBE) on a relaxed SnH4 crystal.

The structure in POSCAR format:
```
SnH4
1.0
0.3640 1.1525 3.7628
-3.3710 -1.6443 -1.2458
2.2829 -5.8766 1.5791
H Sn
8 2
Direct
0.0000 0.0000 0.9383
0.0000 0.0000 0.5617
0.6667 0.3333 0.0643
0.6667 0.3333 0.4357
0.3333 0.6667 0.5643
0.0000 0.0000 0.0617
0.3333 0.6667 0.9357
0.0000 0.0000 0.4383
0.6667 0.3333 0.7500
0.3333 0.6667 0.2500
```

Results
Magnetization (μB per atom): 0.00
Energy of formation (eV per atom): 0.379
Offset from the most stable computed form (meV/atom): 329
Raw total energy (eV per atom): -2.993


VASP calculation (PBE) on a relaxed SmF2 crystal.

The structure in POSCAR format:
```
SmF2
1.0
0.0000 2.8677 2.8677
2.8677 0.0000 2.8677
2.8677 2.8677 0.0000
F Sm
2 1
Direct
0.2500 0.2500 0.2500
0.7500 0.7500 0.7500
0.0000 0.0000 0.0000
```

Results
Magnetization (μB per atom): 0.28
Energy of formation (eV per atom): -3.606
Raw total energy (eV per atom): -6.147


VASP calculation (PBE) on a relaxed Li3RhN2 crystal.

The structure in POSCAR format:
```
Li3RhN2
1.0
-3.2021 5.6664 -0.9875
-0.6003 -1.6161 -7.3272
-4.0983 -6.7446 1.8234
N Li Rh
8 12 4
Direct
0.4469 0.0294 0.9193
0.9663 0.2917 0.5359
0.5531 0.9706 0.0807
0.0337 0.7083 0.4641
0.4469 0.4706 0.4193
0.5531 0.5294 0.5807
0.0337 0.7917 0.9641
0.9663 0.2083 0.0359
0.9910 0.3414 0.8132
0.3495 0.6712 0.0842
0.2041 0.4734 0.5382
0.2041 0.0266 0.0382
0.7959 0.5266 0.4618
0.7959 0.9734 0.9618
0.6505 0.1712 0.4158
0.6505 0.3288 0.9158
0.9910 0.1586 0.3132
0.0090 0.6586 0.1868
0.0090 0.8414 0.6868
0.3495 0.8288 0.5842
0.2212 0.1522 0.7010
0.2212 0.3478 0.2010
0.7788 0.6522 0.7990
0.7788 0.8478 0.2990
```

Results
Magnetization (μB per atom): 0.16
Energy of formation (eV per atom): -0.297
Offset from the most stable computed form (meV/atom): 0
Raw total energy (eV per atom): -5.138